A plane-wave DFT calculation with PBE-GGA was carried out for crystalline NaScZnS3O12 at its relaxed geometry.

Energy relative to the elements   -2.27 eV per atom
Magnetic moment   0.0 μB per formula unit

Cell lengths 8.7351, 8.7351, 22.9569 Å; angles 90.00, 90.00, 120.00 degrees
Atoms (fractional coordinates):
S 0.6635 0.6246 0.5839
S 0.9969 0.2912 0.2506
S 0.9610 0.3365 0.5839
S 0.6635 0.0390 0.0839
S 0.3302 0.3723 0.4173
S 0.3302 0.9579 0.9173
S 0.9610 0.6246 0.0839
S 0.7088 0.7056 0.2506
S 0.3754 0.3365 0.0839
S 0.2944 0.2912 0.7506
S 0.6277 0.6698 0.9173
S 0.0421 0.3723 0.9173
S 0.2944 0.0031 0.2506
S 0.7088 0.0031 0.7506
S 0.9969 0.7056 0.7506
S 0.6277 0.9579 0.4173
S 0.0421 0.6698 0.4173
S 0.3754 0.0390 0.5839
O 0.2140 0.1854 0.8032
O 0.3047 0.8521 0.9699
O 0.7904 0.8165 0.1978
O 0.9760 0.1733 0.5895
O 0.8146 0.7860 0.3032
O 0.5474 0.8521 0.4699
O 0.0261 0.2096 0.1978
O 0.6885 0.5285 0.2437
O 0.8400 0.3115 0.2437
O 0.2140 0.0286 0.3032
O 0.8048 0.8266 0.9104
O 0.3595 0.8763 0.8645
O 0.4812 0.3619 0.1366
O 0.9714 0.1854 0.3032
O 0.6928 0.1499 0.0312
O 0.3595 0.4832 0.3645
O 0.3093 0.4694 0.7562
O 0.6427 0.1361 0.4228
O 0.8267 0.8028 0.5895
O 0.0261 0.8165 0.6978
O 0.4715 0.3115 0.7437
O 0.4934 0.1361 0.9228
O 0.5168 0.8763 0.3645
O 0.1835 0.9739 0.1978
O 0.8501 0.5429 0.0312
O 0.4934 0.3573 0.4228
O 0.8639 0.3573 0.9228
O 0.4812 0.1193 0.6366
O 0.5474 0.6953 0.9699
O 0.3047 0.4526 0.4699
O 0.9714 0.7860 0.8032
O 0.1972 0.1733 0.0895
O 0.6427 0.5066 0.9228
O 0.8146 0.0286 0.8032
O 0.8048 0.9782 0.4104
O 0.1381 0.6448 0.0771
O 0.8267 0.0240 0.0895
O 0.1734 0.1952 0.4104
O 0.4715 0.1600 0.2437
O 0.9760 0.8028 0.0895
O 0.4571 0.3072 0.0312
O 0.5168 0.6405 0.8645
O 0.8639 0.5066 0.4228
O 0.1835 0.2096 0.6978
O 0.8807 0.5188 0.1366
O 0.1972 0.0240 0.5895
O 0.0218 0.1952 0.9104
O 0.6381 0.5188 0.6366
O 0.1734 0.9782 0.9104
O 0.7904 0.9739 0.6978
O 0.3093 0.8399 0.2562
O 0.1237 0.4832 0.8645
O 0.6928 0.5429 0.5312
O 0.1479 0.6953 0.4699
O 0.6381 0.1193 0.1366
O 0.0218 0.8266 0.4104
O 0.1237 0.6405 0.3645
O 0.3552 0.8619 0.5771
O 0.6885 0.1600 0.7437
O 0.8501 0.3072 0.5312
O 0.1601 0.4694 0.2562
O 0.1381 0.4933 0.5771
O 0.5306 0.6907 0.2562
O 0.1601 0.6907 0.7562
O 0.3552 0.4933 0.0771
O 0.5067 0.6448 0.5771
O 0.1479 0.4526 0.9699
O 0.8807 0.3619 0.6366
O 0.4571 0.1499 0.5312
O 0.5067 0.8619 0.0771
O 0.5306 0.8399 0.7562
O 0.8400 0.5285 0.7437
Sc 0.6667 0.3333 0.9814
Sc 0.6667 0.3333 0.4814
Sc 0.0000 0.0000 0.6480
Sc 0.0000 0.0000 0.1480
Sc 0.3333 0.6667 0.3147
Sc 0.3333 0.6667 0.8147
Na 0.6667 0.3333 0.3308
Na 0.3333 0.6667 0.1642
Na 0.3333 0.6667 0.6642
Na 0.6667 0.3333 0.8308
Na 0.0000 0.0000 0.4975
Na 0.0000 0.0000 0.9975
Zn 0.0000 0.0000 0.8498
Zn 0.6667 0.3333 0.1832
Zn 0.3333 0.6667 0.0165
Zn 0.6667 0.3333 0.6832
Zn 0.3333 0.6667 0.5165
Zn 0.0000 0.0000 0.3498


A plane-wave DFT calculation with PBE-GGA was carried out for crystalline Na2SiS6O21 at its relaxed geometry.

Energy relative to the elements   -1.95 eV per atom
Magnetic moment   0.0 μB per formula unit

Cell lengths 9.7366, 12.9690, 14.7269 Å; angles 90.00, 90.00, 90.00 degrees
Atoms (fractional coordinates):
O 0.0689 0.6077 0.3426
O 0.1851 0.6181 0.7259
O 0.9271 0.1057 0.6226
O 0.6100 0.1699 0.8534
O 0.0640 0.1170 0.7690
O 0.1883 0.9186 0.2589
O 0.0582 0.4516 0.6756
O 0.8900 0.8301 0.3534
O 0.1575 0.1512 0.5663
O 0.0460 0.6548 0.0347
O 0.6765 0.5067 0.1254
O 0.9478 0.3113 0.9374
O 0.2592 0.9186 0.5806
O 0.3235 0.0067 0.3746
O 0.5642 0.5521 0.3224
O 0.3117 0.0814 0.7589
O 0.9700 0.0562 0.9612
O 0.1765 0.9933 0.8746
O 0.6883 0.5814 0.7411
O 0.9311 0.1077 0.1574
O 0.2408 0.0814 0.0806
O 0.6982 0.0505 0.1823
O 0.0642 0.9479 0.6776
O 0.6851 0.8819 0.2741
O 0.1028 0.3562 0.3131
O 0.5582 0.0484 0.3244
O 0.4418 0.5484 0.1756
O 0.5689 0.8923 0.6574
O 0.9540 0.1548 0.4653
O 0.3972 0.6438 0.8131
O 0.0729 0.6057 0.8774
O 0.6575 0.3488 0.4337
O 0.9581 0.4893 0.9865
O 0.8018 0.9495 0.6823
O 0.5300 0.9438 0.4612
O 0.7991 0.1816 0.2847
O 0.7009 0.8184 0.7847
O 0.3900 0.6699 0.6466
O 0.5419 0.5107 0.4865
O 0.8149 0.1181 0.7741
O 0.9418 0.9516 0.8244
O 0.2009 0.6816 0.2153
O 0.5729 0.8943 0.1226
O 0.8425 0.6512 0.9337
O 0.6233 0.9958 0.7962
O 0.4360 0.8830 0.2690
O 0.1233 0.5042 0.2038
O 0.8972 0.8562 0.1869
O 0.4581 0.0107 0.0135
O 0.9631 0.3720 0.5407
O 0.4478 0.1887 0.0626
O 0.7150 0.3169 0.1139
O 0.1100 0.3301 0.1466
O 0.4311 0.3923 0.8426
O 0.7850 0.6831 0.6139
O 0.2991 0.3184 0.7153
O 0.4700 0.4438 0.0388
O 0.1982 0.4495 0.8177
O 0.8235 0.4933 0.6254
O 0.5522 0.6887 0.4374
O 0.4271 0.3943 0.3774
O 0.0300 0.5562 0.5388
O 0.7408 0.4186 0.9194
O 0.3149 0.3819 0.2259
O 0.3767 0.4958 0.7038
O 0.4540 0.3452 0.5347
O 0.9358 0.4479 0.8224
O 0.3425 0.8488 0.0663
O 0.5640 0.3830 0.2310
O 0.4631 0.1280 0.4593
O 0.4358 0.0521 0.1776
O 0.7592 0.5814 0.4194
O 0.2850 0.8169 0.3861
O 0.9360 0.6170 0.7310
O 0.0419 0.9893 0.5135
O 0.8117 0.4186 0.2411
O 0.2150 0.1831 0.8861
O 0.6028 0.1438 0.6869
O 0.0369 0.8720 0.9593
O 0.8767 0.0042 0.2962
O 0.3018 0.5505 0.3177
O 0.5460 0.8452 0.9653
O 0.5369 0.6280 0.0407
O 0.0522 0.8113 0.5626
S 0.6581 0.1175 0.7742
S 0.2996 0.8962 0.3191
S 0.1127 0.9082 0.5860
S 0.6727 0.9031 0.7253
S 0.3419 0.6175 0.7258
S 0.8419 0.8825 0.2742
S 0.8873 0.4082 0.9140
S 0.2004 0.1038 0.8191
S 0.1581 0.3825 0.2258
S 0.7004 0.3962 0.1809
S 0.7996 0.6038 0.6809
S 0.4796 0.0320 0.4129
S 0.0204 0.9680 0.9129
S 0.8273 0.0969 0.2253
S 0.4753 0.8872 0.0416
S 0.9753 0.6128 0.9584
S 0.5247 0.3872 0.4584
S 0.1727 0.5969 0.2747
S 0.6127 0.5918 0.4140
S 0.3273 0.4031 0.7747
S 0.3873 0.0918 0.0860
S 0.0247 0.1128 0.5416
S 0.9796 0.4680 0.5871
S 0.5204 0.5320 0.0871
Na 0.0583 0.1987 0.0401
Na 0.4417 0.8013 0.5401
Na 0.1124 0.8152 0.1144
Na 0.9417 0.6987 0.4599
Na 0.3876 0.1848 0.6145
Na 0.6124 0.6848 0.8856
Na 0.5583 0.3013 0.9599
Na 0.8876 0.3152 0.3856
Si 0.0639 0.5316 0.7752
Si 0.9361 0.0316 0.7248
Si 0.5639 0.9684 0.2248
Si 0.4361 0.4684 0.2752


A plane-wave DFT calculation with PBE-GGA was carried out for crystalline Na6Si7Sn8S5O48 at its relaxed geometry.

Energy relative to the elements   -2.31 eV per atom
Magnetic moment   0.0 μB per formula unit

Cell lengths 17.8012, 8.8896, 22.9831 Å; angles 89.94, 89.53, 119.99 degrees
Atoms (fractional coordinates):
O 0.0968 0.1698 0.0864
O 0.0675 0.6478 0.0777
O 0.5842 0.6983 0.4762
O 0.4424 0.3596 0.6372
O 0.5591 0.4841 0.8547
O 0.4184 0.5453 0.0261
O 0.8247 0.1241 0.1361
O 0.3172 0.5012 0.9234
O 0.1795 0.4817 0.3659
O 0.7425 0.3094 0.7471
O 0.3494 0.5495 0.5298
O 0.4239 0.3133 0.2476
O 0.8957 0.9630 0.6898
O 0.4128 0.7737 0.3065
O 0.9225 0.4872 0.4191
O 0.9156 0.0256 0.0869
O 0.7512 0.6278 0.8601
O 0.7573 0.8729 0.0775
O 0.6537 0.8521 0.9702
O 0.9111 0.7817 0.3077
O 0.4165 0.5144 0.7406
O 0.4281 0.3043 0.5316
O 0.4878 0.1857 0.3050
O 0.7283 0.1480 0.5283
O 0.3436 0.1407 0.0234
O 0.2446 0.1793 0.2443
O 0.8152 0.5040 0.6401
O 0.9245 0.3051 0.5304
O 0.5937 0.1649 0.0900
O 0.9246 0.5305 0.7444
O 0.7539 0.6812 0.2586
O 0.8502 0.5234 0.2447
O 0.5126 0.1759 0.9107
O 0.5792 0.4484 0.9698
O 0.6047 0.0433 0.3107
O 0.5212 0.8225 0.6896
O 0.2361 0.3582 0.1345
O 0.5679 0.4872 0.5779
O 0.0128 0.8480 0.4116
O 0.8536 0.1861 0.7382
O 0.1012 0.1616 0.8085
O 0.4790 0.7888 0.8078
O 0.2250 0.3043 0.0283
O 0.9788 0.1706 0.3091
O 0.9855 0.7854 0.8031
O 0.7443 0.3511 0.4225
O 0.5842 0.6841 0.7563
O 0.1463 0.4739 0.7561
O 0.2614 0.6385 0.8646
O 0.4008 0.8182 0.9120
O 0.8484 0.5445 0.5253
O 0.9876 0.1788 0.5863
O 0.2436 0.1369 0.9224
O 0.0613 0.4976 0.8587
O 0.5629 0.6247 0.3604
O 0.5171 0.8425 0.4158
O 0.8168 0.4906 0.9220
O 0.6085 0.1781 0.8097
O 0.6462 0.8202 0.2562
O 0.4121 0.0385 0.8064
O 0.2797 0.8414 0.4748
O 0.5811 0.9585 0.1952
O 0.5995 0.0270 0.5863
O 0.5146 0.2144 0.1984
O 0.9281 0.5520 0.0315
O 0.0207 0.2184 0.1910
O 0.6847 0.4864 0.3651
O 0.1782 0.8490 0.5809
O 0.2571 0.6805 0.2559
O 0.7289 0.2943 0.0232
O 0.0156 0.8116 0.6969
O 0.1507 0.8269 0.2526
O 0.1522 0.4559 0.4725
O 0.0848 0.4743 0.9751
O 0.9166 0.3193 0.2414
O 0.2425 0.8397 0.0776
O 0.0784 0.6885 0.7556
O 0.4257 0.4963 0.4262
O 0.2493 0.8728 0.3617
O 0.9427 0.5258 0.1375
O 0.4408 0.5073 0.1426
O 0.2528 0.8258 0.7579
O 0.9015 0.9846 0.4132
O 0.2520 0.1346 0.6385
O 0.9184 0.8197 0.5883
O 0.8190 0.1353 0.4261
O 0.6774 0.8663 0.5768
O 0.3220 0.5238 0.6357
O 0.7755 0.8541 0.4716
O 0.0808 0.2077 0.6932
O 0.0611 0.6346 0.3568
O 0.2747 0.6963 0.9699
O 0.4148 0.9935 0.4093
O 0.5786 0.6486 0.0763
O 0.6545 0.4522 0.4706
O 0.9251 0.3557 0.9255
O 0.2437 0.3566 0.4233
O 0.2532 0.6376 0.5772
O 0.6513 0.4776 0.7523
O 0.1841 0.8830 0.8640
O 0.4182 0.0237 0.0888
O 0.3958 0.8322 0.1926
O 0.8893 0.8229 0.1911
O 0.3499 0.5175 0.2416
O 0.1531 0.8534 0.9693
O 0.7404 0.1640 0.2484
O 0.0926 0.0265 0.5892
O 0.0842 0.9595 0.1931
O 0.7576 0.8356 0.7553
O 0.9417 0.3654 0.6358
O 0.0834 0.4843 0.2572
O 0.5787 0.4667 0.2561
O 0.2289 0.1595 0.5232
O 0.6802 0.8806 0.8638
O 0.4895 0.1716 0.5883
O 0.4125 0.8048 0.5867
O 0.3166 0.1444 0.4216
O 0.0870 0.9702 0.9106
O 0.9155 0.0540 0.8043
O 0.7393 0.1163 0.6341
O 0.0773 0.7041 0.4729
O 0.1751 0.4859 0.0767
O 0.0173 0.1940 0.9159
O 0.0679 0.4918 0.5754
O 0.0880 0.2002 0.4148
O 0.7541 0.3695 0.1386
O 0.7722 0.7127 0.9745
O 0.9894 0.8069 0.0881
O 0.7436 0.6445 0.5767
O 0.6854 0.5108 0.0809
O 0.4208 0.3505 0.9168
O 0.4890 0.8129 0.0849
O 0.8521 0.1532 0.0300
O 0.9127 0.8362 0.9102
O 0.5878 0.2037 0.4118
O 0.3867 0.9539 0.6902
O 0.7441 0.1338 0.9211
O 0.5883 0.9774 0.9126
O 0.2390 0.3153 0.7469
O 0.7612 0.8860 0.3663
O 0.5860 0.2120 0.6919
O 0.1119 0.0421 0.3106
O 0.3498 0.1760 0.7446
O 0.3094 0.1185 0.1403
Sn 0.8348 0.3414 0.9805
Sn 0.0000 0.9979 0.6466
Sn 0.8259 0.3251 0.1908
Sn 0.1683 0.6760 0.3102
Sn 0.6675 0.6636 0.5190
Sn 0.6679 0.6625 0.8119
Sn 0.8256 0.3316 0.6869
Sn 0.1685 0.6712 0.0199
Sn 0.3259 0.3248 0.6912
Sn 0.3454 0.3346 0.9838
Sn 0.9950 0.0163 0.8546
Sn 0.3322 0.3289 0.1838
Sn 0.4970 0.9948 0.6563
Sn 0.4982 0.9879 0.1425
Sn 0.4950 0.9746 0.3519
Sn 0.1683 0.6601 0.8150
Sn 0.3350 0.3281 0.4797
Sn 0.1701 0.6919 0.5160
Sn 0.6658 0.6734 0.3122
Sn 0.6627 0.6419 0.0200
Sn 0.9996 0.9933 0.3458
Sn 0.4985 0.0022 0.8483
Sn 0.8383 0.3512 0.4808
Sn 0.9982 0.0024 0.1544
Na 0.4942 0.9885 0.4947
Na 0.8332 0.3314 0.3281
Na 0.1664 0.0225 0.4134
Na 0.1760 0.6770 0.1712
Na 0.0007 0.6341 0.2520
Na 0.1763 0.6825 0.6676
Na 0.5003 0.3684 0.7548
Na 0.6691 0.6653 0.1627
Na 0.9991 0.3517 0.7532
Na 0.3322 0.3336 0.3298
Na 0.9990 0.9847 0.5028
Na 0.8310 0.3319 0.8348
Na 0.9950 0.0006 0.9967
Na 0.4981 0.6447 0.2456
Na 0.3341 0.3351 0.8320
Na 0.6651 0.3107 0.9173
Na 0.6732 0.6726 0.6730
Na 0.4978 0.0021 0.0070
Si 0.0002 0.2912 0.2504
Si 0.5233 0.6666 0.4190
Si 0.8507 0.7063 0.2500
Si 0.1495 0.0083 0.2489
Si 0.3315 0.0361 0.0842
Si 0.6469 0.2913 0.7503
Si 0.5172 0.3682 0.9134
Si 0.8534 0.9988 0.7471
Si 0.3161 0.9581 0.4149
Si 0.8130 0.6733 0.9168
Si 0.6896 0.3314 0.0841
Si 0.0182 0.6658 0.4142
Si 0.4813 0.6250 0.0831
Si 0.6421 0.0028 0.2512
Si 0.8326 0.6293 0.5838
Si 0.0229 0.3823 0.9192
Si 0.3502 0.9939 0.7504
Si 0.5006 0.7098 0.7503
Si 0.1415 0.2830 0.7508
Si 0.3529 0.7058 0.2478
Si 0.1885 0.0454 0.5837
S 0.9804 0.3361 0.5824
S 0.3139 0.6634 0.9178
S 0.4802 0.3292 0.5845
S 0.6858 0.0410 0.5816
S 0.8358 0.0432 0.0830
S 0.6665 0.3732 0.4164
S 0.3339 0.6271 0.5827
S 0.9803 0.6311 0.0844
S 0.6657 0.9543 0.9173
S 0.1846 0.3285 0.0814
S 0.1671 0.9613 0.9163
S 0.0008 0.7102 0.7508
S 0.1653 0.3779 0.4185
S 0.8143 0.9633 0.4185
S 0.5005 0.2872 0.2509


What is the energy relative to the elements in the second record? -1.95 eV per atom


Look up the energy relative to the elements of the first one. -2.27 eV per atom